No. 1
## Cs2RbSbBr6 (PBE)

Data for a relaxed structure of Cs2RbSbBr6.

extended XYZ file:
```
10
Lattice="4.8808 -4.5900 5.4363 -3.4740 -3.3115 7.1700 -1.1601 -8.5215 0.6935" Properties=species:S:1:pos:R:3 pbc="T T T"
Cs 0.1851 -12.3173 9.9748
Cs 0.0617 -4.1058 3.3249
Rb 0.1234 -8.2115 6.6499
Sb 0.0000 0.0000 0.0000
Br 2.6834 -6.2627 5.9968
Br -0.5673 -8.3783 3.4447
Br -2.4367 -10.1603 7.3029
Br -1.8124 -5.5747 6.9298
Br 2.0592 -10.8483 6.3700
Br 0.8140 -8.0447 9.8551
```

E (MP2020) = -33.276 eV for the cell shown
volume = 45.42 A^3/atom
SG = No. 225

=====

No. 2
## Na3ScSi2O7 (PBE)

Data for a relaxed structure of Na3ScSi2O7.

extended XYZ file:
```
52
Lattice="-5.0878 0.3170 -1.7840 -2.9180 -5.0918 7.4174 -1.7440 11.1245 6.9505" Properties=species:S:1:pos:R:3 pbc="T T T"
Na -1.8039 2.7709 5.3696
Na -8.4940 7.0750 9.3988
Na -4.1094 5.9765 4.3393
Na -9.1697 3.6612 10.7342
Na -5.0923 -3.1231 6.0602
Na -4.4073 0.2902 4.7280
Na -1.2558 -0.7253 3.1851
Na -4.6575 9.4728 6.5237
Na -5.6404 0.3732 8.2447
Na -5.3426 6.0595 7.8559
Na -7.9459 3.5787 7.2143
Na -0.5801 2.6885 1.8497
Sc -4.0029 -2.3874 2.8167
Sc -0.8720 5.5622 3.4753
Sc 0.0000 0.0000 0.0000
Sc -4.8749 3.1748 6.2920
Si -3.3533 0.7331 1.3012
Si -2.1160 5.3786 6.7730
Si -3.7662 3.3669 2.9467
Si -6.3965 5.6165 11.2827
Si -5.9836 2.9828 9.6372
Si -7.2210 -1.6627 4.1653
Si -2.5288 8.0124 8.4186
Si -7.6339 0.9711 5.8109
O -3.6313 -0.2844 2.5492
O -2.6504 4.5409 3.1515
O -7.0994 1.8088 9.4324
O -4.6262 2.3801 10.3276
O -1.9878 0.3141 0.5106
O -4.0872 2.6239 4.3663
O -3.6641 4.9570 6.4447
O -3.4083 1.9513 7.1060
O -6.4869 6.4140 3.7083
O -5.6626 3.7258 8.2176
O -3.2629 -0.0643 8.8756
O -2.8070 -2.9726 7.0585
O -2.7457 -2.2755 4.4651
O -5.1236 3.9696 2.2563
O -4.6256 0.7930 0.2715
O -4.1621 8.1336 8.4294
O -6.7027 4.0653 10.7064
O -6.1185 6.6341 10.0347
O -3.0471 2.2844 1.8775
O -6.9428 9.3223 5.5254
O -5.1242 5.5567 12.3124
O -7.7621 6.0355 12.0733
O -5.5877 -1.7839 4.1545
O -6.0857 1.3927 6.1392
O -7.0042 8.6251 8.1188
O -7.1922 6.7326 6.3145
O -2.5576 -0.3829 6.2694
O -6.3415 4.3983 5.4779
```

E (MP2020) = -380.576 eV for the cell shown
volume = 13.00 A^3/atom
SG = No. 62

=====

No. 3
## KSO2F (PBE)

Data for a relaxed structure of KSO2F.

extended XYZ file:
```
10
Lattice="5.8790 0.0000 0.0000 0.0000 4.7183 0.0000 0.0000 2.1104 6.8747" Properties=species:S:1:pos:R:3 pbc="T T T"
K 1.4744 2.2371 1.9872
K 4.4139 4.5916 4.8875
S 4.2694 4.7970 1.1156
S 1.3299 2.0317 5.7591
O 0.2593 2.2734 4.7577
O 3.1988 4.5553 2.1170
O 4.4297 1.5208 0.8268
O 1.4902 5.3079 6.0479
F 5.7344 4.5628 2.1908
F 2.7949 2.2659 4.6839
```

E (MP2020) = -55.910 eV for the cell shown
volume = 19.07 A^3/atom
SG = No. 4

=====

No. 4
## TmFe4B (PBE)

Data for a relaxed structure of TmFe4B.

extended XYZ file:
```
12
Lattice="-2.5166 -4.3589 0.0000 -2.5141 4.3575 0.0000 0.0000 0.0000 -7.0239" Properties=species:S:1:pos:R:3 pbc="T T T"
Tm -2.5166 -4.3588 0.0000
Tm -2.5166 -4.3589 -3.5119
Fe -2.5144 1.4518 0.0000
Fe -2.5162 -1.4531 0.0000
Fe -1.2583 -2.1794 -2.0093
Fe -2.5153 -0.0006 -2.0090
Fe -3.7737 -2.1801 -2.0090
Fe -1.2583 -2.1794 -5.0145
Fe -2.5153 -0.0006 -5.0149
Fe -3.7737 -2.1801 -5.0149
B -2.5157 1.4525 -3.5119
B -2.5150 -1.4538 -3.5119
```

volume = 12.83 A^3/atom
SG = No. 191

=====

No. 5
## PrCuGe2 (PBE)

Data for a relaxed structure of PrCuGe2.

extended XYZ file:
```
8
Lattice="2.1392 -8.7440 0.0000 2.1392 8.7440 0.0000 0.0000 0.0000 4.2352" Properties=species:S:1:pos:R:3 pbc="T T T"
Pr 2.1392 -6.9279 3.1764
Pr 2.1392 6.9279 1.0588
Cu 2.1392 -3.0650 3.1764
Cu 2.1392 3.0650 1.0588
Ge 2.1392 4.3871 3.1764
Ge 2.1392 -4.3871 1.0588
Ge 2.1392 -0.6799 3.1764
Ge 2.1392 0.6799 1.0588
```

volume = 19.81 A^3/atom
SG = No. 63

=====

No. 6
## ScPRu (PBE)

Data for a relaxed structure of ScPRu.

extended XYZ file:
```
9
Lattice="-1.7221 5.6425 2.8833 -3.5902 -2.3852 -4.9536 -2.0553 -1.8416 2.3764" Properties=species:S:1:pos:R:3 pbc="T T T"
Sc -3.2083 0.4163 0.3383
Sc -2.0428 2.4055 2.8879
Sc -3.1441 -2.3269 -1.7320
P -2.3448 2.9666 0.2710
P -2.9675 0.2907 -2.3413
P -1.0277 -0.9208 1.1882
Ru -0.8764 -0.5822 -1.2092
Ru -0.4204 1.3773 0.7038
Ru -4.0156 2.4623 -1.5650
```

volume = 15.11 A^3/atom
SG = No. 189

=====

Number 1: final energy -3.007 eV/atom, ρ 3.5 g/cm3. Number 2: final energy -6.949 eV/atom, ρ 2.8 g/cm3. Number 3: final energy -5.224 eV/atom, ρ 2.1 g/cm3. Number 4: final energy -7.765 eV/atom, ρ 8.7 g/cm3. Number 5: final energy -5.119 eV/atom, ρ 7.3 g/cm3. Number 6: final energy -8.197 eV/atom, ρ 6.5 g/cm3.